No. 1
4
Lattice="-3.2006 -2.8517 -3.4908 -5.4641 -0.2184 0.8108 -3.4125 2.6721 -3.4316" Properties=species:S:1:pos:R:3 comment="La2CdHg, optimized geometry, DFT r²SCAN" m_tot_mub_per_fu=0.8 ef_ev_per_atom=-0.478 total_energy_ev_per_atom=-32.72 space_group=Fm-3m pbc="T T T"
Cd -6.0386 -0.1990 -3.0558
La -9.0579 -0.2985 -4.5837
Hg 0.0000 0.0000 0.0000
La -3.0193 -0.0995 -1.5279


No. 2
4
Lattice="1.4754 -2.8371 3.3433 1.4407 1.7366 4.0388 -2.5463 -0.5996 3.8158" Properties=species:S:1:pos:R:3 comment="Li2CdHg, optimized geometry, DFT r²SCAN" m_tot_mub_per_fu=0.0 ef_ev_per_atom=-0.325 total_energy_ev_per_atom=-18.89 space_group=Fm-3m pbc="T T T"
Hg 0.2773 -1.2750 8.3985
Cd 0.0924 -0.4250 2.7995
Li 0.1849 -0.8500 5.5990
Li 0.0000 0.0000 0.0000